[1]
An optimized crystal structure of Mg5Hg, computed with GGA-PBE.

Values from the calculation:
formation energy	-0.44	eV/f.u.
mass density	4.05	g/cm³
symmetry	No. 189

Unit cell a=5.3983 b=5.3983 c=5.2350 alpha=90.00 beta=90.00 gamma=120.00
Element x y z (fractional)
Mg 0.0000 0.3279 0.0000
Mg 0.3279 0.0000 0.0000
Mg 0.3333 0.6667 0.5000
Mg 0.6667 0.3333 0.5000
Mg 0.6721 0.6721 0.0000
Hg 0.0000 0.0000 0.5000



[2]
An optimized crystal structure of Mg3Hg, computed with GGA-PBE.

Values from the calculation:
formation energy	-0.45	eV/f.u.
mass density	5.06	g/cm³
symmetry	No. 194

Unit cell a=4.8971 b=4.8971 c=8.6389 alpha=90.00 beta=90.00 gamma=120.00
Element x y z (fractional)
Mg 0.0000 0.0000 0.2500
Mg 0.0000 0.0000 0.7500
Mg 0.3333 0.6667 0.0788
Mg 0.3333 0.6667 0.4212
Mg 0.6667 0.3333 0.5788
Mg 0.6667 0.3333 0.9212
Hg 0.3333 0.6667 0.7500
Hg 0.6667 0.3333 0.2500



[3]
An optimized crystal structure of MgHg2, computed with GGA-PBE.

Values from the calculation:
formation energy	-0.31	eV/f.u.
mass density	10.18	g/cm³
symmetry	No. 63

Unit cell a=8.0403 b=8.0403 c=5.0463 alpha=90.00 beta=90.00 gamma=154.83
Element x y z (fractional)
Mg 0.1085 0.8915 0.7500
Mg 0.8915 0.1085 0.2500
Hg 0.2278 0.7722 0.2500
Hg 0.4429 0.5571 0.7500
Hg 0.5571 0.4429 0.2500
Hg 0.7722 0.2278 0.7500



[4]
An optimized crystal structure of Mg5Hg, computed with GGA-PBE.

Values from the calculation:
formation energy	-0.37	eV/f.u.
mass density	3.96	g/cm³
symmetry	No. 8

Unit cell a=6.0347 b=6.0347 c=7.3244 alpha=103.15 beta=103.15 gamma=31.42
Element x y z (fractional)
Mg 0.0000 0.0000 0.0000
Mg 0.0475 0.0475 0.6121
Mg 0.3245 0.3245 0.6729
Mg 0.3771 0.3771 0.2659
Mg 0.6598 0.6598 0.3355
Hg 0.7173 0.7173 0.9442



[5]
An optimized crystal structure of Mg5Hg3, computed with GGA-PBE.

Values from the calculation:
formation energy	-1.75	eV/f.u.
mass density	6.75	g/cm³
symmetry	No. 193

Unit cell a=8.3785 b=8.3785 c=5.8555 alpha=90.00 beta=90.00 gamma=120.00
Element x y z (fractional)
Mg 0.0000 0.2510 0.2500
Mg 0.0000 0.7490 0.7500
Mg 0.2510 0.0000 0.2500
Mg 0.2510 0.2510 0.7500
Mg 0.3333 0.6667 0.0000
Mg 0.3333 0.6667 0.5000
Mg 0.6667 0.3333 0.0000
Mg 0.6667 0.3333 0.5000
Mg 0.7490 0.0000 0.7500
Mg 0.7490 0.7490 0.2500
Hg 0.0000 0.3872 0.7500
Hg 0.0000 0.6128 0.2500
Hg 0.3872 0.0000 0.7500
Hg 0.3872 0.3872 0.2500
Hg 0.6128 0.0000 0.2500
Hg 0.6128 0.6128 0.7500



[6]
An optimized crystal structure of Mg5Hg, computed with GGA-PBE.

Values from the calculation:
formation energy	-0.48	eV/f.u.
mass density	4.02	g/cm³
symmetry	No. 155

Unit cell a=6.0275 b=6.0275 c=6.0275 alpha=53.96 beta=53.96 gamma=53.96
Element x y z (fractional)
Mg 0.0000 0.6647 0.3353
Mg 0.1670 0.1670 0.1670
Mg 0.3353 0.0000 0.6647
Mg 0.6647 0.3353 0.0000
Mg 0.8330 0.8330 0.8330
Hg 0.5000 0.5000 0.5000



[7]
An optimized crystal structure of Mg3Hg, computed with GGA-PBE.

Values from the calculation:
formation energy	-0.53	eV/f.u.
mass density	5.29	g/cm³
symmetry	No. 221

Unit cell a=4.4106 b=4.4106 c=4.4106 alpha=90.00 beta=90.00 gamma=90.00
Element x y z (fractional)
Mg 0.0000 0.0000 0.5000
Mg 0.0000 0.5000 0.0000
Mg 0.5000 0.0000 0.0000
Hg 0.5000 0.5000 0.5000



[8]
An optimized crystal structure of MgHg2, computed with GGA-PBE.

Values from the calculation:
formation energy	-0.32	eV/f.u.
mass density	10.07	g/cm³
symmetry	No. 12

Unit cell a=6.8883 b=6.8883 c=6.8597 alpha=111.00 beta=111.00 gamma=27.62
Element x y z (fractional)
Mg 0.1391 0.1391 0.0346
Mg 0.8609 0.8609 0.9654
Hg 0.1976 0.1976 0.6552
Hg 0.4721 0.4721 0.7101
Hg 0.5279 0.5279 0.2899
Hg 0.8024 0.8024 0.3448



[9]
An optimized crystal structure of Mg5Hg, computed with GGA-PBE.

Values from the calculation:
formation energy	-0.51	eV/f.u.
mass density	4.02	g/cm³
symmetry	No. 38

Unit cell a=5.0477 b=8.2446 c=8.2446 alpha=22.83 beta=90.00 gamma=90.00
Element x y z (fractional)
Mg 0.0000 0.0000 0.0000
Mg 0.0000 0.3270 0.3270
Mg 0.5000 0.2129 0.2129
Mg 0.5000 0.5487 0.5487
Mg 0.5000 0.8832 0.8832
Hg 0.0000 0.6619 0.6619



[10]
An optimized crystal structure of MgHg2, computed with GGA-PBE.

Values from the calculation:
formation energy	-0.36	eV/f.u.
mass density	10.23	g/cm³
symmetry	No. 15

Unit cell a=5.3200 b=5.3200 c=7.0005 alpha=120.55 beta=120.55 gamma=59.27
Element x y z (fractional)
Mg 0.1045 0.8955 0.7500
Mg 0.8955 0.1045 0.2500
Hg 0.2276 0.4374 0.2527
Hg 0.4374 0.2276 0.7527
Hg 0.5626 0.7724 0.2473
Hg 0.7724 0.5626 0.7473



[11]
An optimized crystal structure of MgHgO3, computed with GGA-PBE.

Values from the calculation:
formation energy	-4.82	eV/f.u.
mass density	7.22	g/cm³
symmetry	No. 221

Unit cell a=3.9735 b=3.9735 c=3.9735 alpha=90.00 beta=90.00 gamma=90.00
Element x y z (fractional)
Mg 0.0000 0.0000 0.0000
Hg 0.5000 0.5000 0.5000
O 0.0000 0.0000 0.5000
O 0.0000 0.5000 0.0000
O 0.5000 0.0000 0.0000



[12]
An optimized crystal structure of MgTi2Hg2O6, computed with GGA-PBE.

Values from the calculation:
formation energy	-24.62	eV/f.u.
mass density	6.07	g/cm³
symmetry	No. 146

Unit cell a=7.3366 b=7.3366 c=7.3366 alpha=43.36 beta=43.36 gamma=43.36
Element x y z (fractional)
Mg 0.0000 0.0000 0.0000
Ti 0.3236 0.3236 0.3236
Ti 0.7524 0.7524 0.7524
Hg 0.1617 0.1617 0.1617
Hg 0.5869 0.5869 0.5869
O 0.0118 0.6013 0.2205
O 0.0411 0.4272 0.6933
O 0.2205 0.0118 0.6013
O 0.4272 0.6933 0.0411
O 0.6013 0.2205 0.0117
O 0.6933 0.0411 0.4272



[13]
An optimized crystal structure of MgTi2Hg2O6, computed with GGA-PBE.

Values from the calculation:
formation energy	-26.93	eV/f.u.
mass density	5.99	g/cm³
symmetry	No. 1

Unit cell a=5.7820 b=5.8728 c=6.0276 alpha=74.76 beta=61.81 gamma=73.95
Element x y z (fractional)
Mg 0.0000 0.0000 0.0000
Ti 0.2117 0.5564 0.6989
Ti 0.6110 0.9518 0.7104
Hg 0.4979 0.3765 0.1138
Hg 0.9188 0.4421 0.3444
O 0.2741 0.2235 0.7972
O 0.3249 0.7570 0.8204
O 0.3892 0.6228 0.3622
O 0.7275 0.1245 0.8627
O 0.7721 0.0054 0.3760
O 0.8562 0.6754 0.7845



[14]
An optimized crystal structure of MgHgPd2, computed with GGA-PBE.

Values from the calculation:
formation energy	-1.90	eV/f.u.
mass density	10.54	g/cm³
symmetry	No. 225

Unit cell a=4.6033 b=4.6033 c=4.6033 alpha=60.00 beta=60.00 gamma=60.00
Element x y z (fractional)
Mg 0.0000 0.0000 0.0000
Hg 0.5000 0.5000 0.5000
Pd 0.2500 0.2500 0.2500
Pd 0.7500 0.7500 0.7500



[15]
An optimized crystal structure of PmMgHg2, computed with GGA-PBE.

Values from the calculation:
formation energy	-1.89	eV/f.u.
mass density	9.71	g/cm³
symmetry	No. 225

Unit cell a=5.1681 b=5.1681 c=5.1681 alpha=60.00 beta=60.00 gamma=60.00
Element x y z (fractional)
Pm 0.0000 0.0000 0.0000
Mg 0.5000 0.5000 0.5000
Hg 0.2500 0.2500 0.2500
Hg 0.7500 0.7500 0.7500



[16]
An optimized crystal structure of MgSc2Hg, computed with GGA-PBE.

Values from the calculation:
formation energy	-0.96	eV/f.u.
mass density	5.89	g/cm³
symmetry	No. 225

Unit cell a=5.0058 b=5.0058 c=5.0058 alpha=60.00 beta=60.00 gamma=60.00
Element x y z (fractional)
Mg 0.0000 0.0000 0.0000
Sc 0.2500 0.2500 0.2500
Sc 0.7500 0.7500 0.7500
Hg 0.5000 0.5000 0.5000



[17]
An optimized crystal structure of SmMgHg2, computed with GGA-PBE.

Values from the calculation:
formation energy	-1.88	eV/f.u.
mass density	9.91	g/cm³
symmetry	No. 225

Unit cell a=5.1491 b=5.1491 c=5.1491 alpha=60.00 beta=60.00 gamma=60.00
Element x y z (fractional)
Sm 0.0000 0.0000 0.0000
Mg 0.5000 0.5000 0.5000
Hg 0.2500 0.2500 0.2500
Hg 0.7500 0.7500 0.7500



[18]
An optimized crystal structure of TbMgHg2, computed with GGA-PBE.

Values from the calculation:
formation energy	-1.85	eV/f.u.
mass density	10.36	g/cm³
symmetry	No. 225

Unit cell a=5.0971 b=5.0971 c=5.0971 alpha=60.00 beta=60.00 gamma=60.00
Element x y z (fractional)
Tb 0.0000 0.0000 0.0000
Mg 0.5000 0.5000 0.5000
Hg 0.2500 0.2500 0.2500
Hg 0.7500 0.7500 0.7500



[19]
An optimized crystal structure of ThMgHg2, computed with GGA-PBE.

Values from the calculation:
formation energy	-1.21	eV/f.u.
mass density	10.90	g/cm³
symmetry	No. 225

Unit cell a=5.2126 b=5.2126 c=5.2126 alpha=60.00 beta=60.00 gamma=60.00
Element x y z (fractional)
Th 0.0000 0.0000 0.0000
Mg 0.5000 0.5000 0.5000
Hg 0.2500 0.2500 0.2500
Hg 0.7500 0.7500 0.7500



[20]
An optimized crystal structure of Y2MgHg, computed with GGA-PBE.

Values from the calculation:
formation energy	-1.17	eV/f.u.
mass density	6.32	g/cm³
symmetry	No. 225

Unit cell a=5.3102 b=5.3102 c=5.3102 alpha=60.00 beta=60.00 gamma=60.00
Element x y z (fractional)
Y 0.2500 0.2500 0.2500
Y 0.7500 0.7500 0.7500
Mg 0.0000 0.0000 0.0000
Hg 0.5000 0.5000 0.5000



[21]
An optimized crystal structure of Mn3Hg, computed with GGA-PBE.

Values from the calculation:
formation energy	1.71	eV/f.u.
mass density	9.41	g/cm³
symmetry	No. 221

Unit cell a=4.0098 b=4.0098 c=4.0098 alpha=90.00 beta=90.00 gamma=90.00
Element x y z (fractional)
Mn 0.0000 0.0000 0.5000
Mn 0.0000 0.5000 0.0000
Mn 0.5000 0.0000 0.0000
Hg 0.5000 0.5000 0.5000



[22]
An optimized crystal structure of Mn3HgN, computed with GGA-PBE.

Values from the calculation:
formation energy	-0.68	eV/f.u.
mass density	9.52	g/cm³
symmetry	No. 221

Unit cell a=4.0446 b=4.0446 c=4.0446 alpha=90.00 beta=90.00 gamma=90.00
Element x y z (fractional)
Mn 0.0000 0.0000 0.5000
Mn 0.0000 0.5000 0.0000
Mn 0.5000 0.0000 0.0000
Hg 0.5000 0.5000 0.5000
N 0.0000 0.0000 0.0000



[23]
An optimized crystal structure of MnHg3S4, computed with GGA-PBE.

Values from the calculation:
formation energy	-3.71	eV/f.u.
mass density	6.29	g/cm³
symmetry	No. 160

Unit cell a=13.8333 b=13.8333 c=13.8333 alpha=17.42 beta=17.42 gamma=17.42
Element x y z (fractional)
Mn 0.0000 0.0000 0.0000
Hg 0.2539 0.2539 0.2539
Hg 0.5010 0.5010 0.5010
Hg 0.7486 0.7486 0.7486
S 0.0588 0.0588 0.0588
S 0.3179 0.3179 0.3179
S 0.5646 0.5646 0.5646
S 0.8120 0.8120 0.8120



[24]
An optimized crystal structure of MnHg4S5, computed with GGA-PBE.

Values from the calculation:
formation energy	-4.54	eV/f.u.
mass density	6.51	g/cm³
symmetry	No. 119

Unit cell a=15.1315 b=15.1315 c=15.1315 alpha=164.11 beta=164.11 gamma=22.55
Element x y z (fractional)
Mn 0.0000 0.0000 0.0000
Hg 0.1995 0.1995 0.0000
Hg 0.4035 0.4035 0.0000
Hg 0.5965 0.5965 0.0000
Hg 0.8005 0.8005 0.0000
S 0.1482 0.6482 0.5000
S 0.3518 0.8518 0.5000
S 0.5428 0.0428 0.5000
S 0.7500 0.2500 0.5000
S 0.9572 0.4572 0.5000



[25]
An optimized crystal structure of MnHgS2, computed with GGA-PBE.

Values from the calculation:
formation energy	-2.27	eV/f.u.
mass density	5.43	g/cm³
symmetry	No. 160

Unit cell a=7.0653 b=7.0653 c=7.0653 alpha=33.90 beta=33.90 gamma=33.90
Element x y z (fractional)
Mn 0.0000 0.0000 0.0000
Hg 0.4962 0.4962 0.4962
S 0.3672 0.3672 0.3672
S 0.8802 0.8802 0.8802



[26]
An optimized crystal structure of MnHg2Te3, computed with GGA-PBE.

Values from the calculation:
formation energy	-2.08	eV/f.u.
mass density	6.56	g/cm³
symmetry	No. 156

Unit cell a=4.6652 b=4.6652 c=11.2716 alpha=90.00 beta=90.00 gamma=120.00
Element x y z (fractional)
Mn 0.0000 0.0000 0.0000
Hg 0.3333 0.6667 0.6748
Hg 0.6667 0.3333 0.3333
Te 0.0000 0.0000 0.2419
Te 0.3333 0.6667 0.9320
Te 0.6667 0.3333 0.5868